[1]
## Ba2Sr2CaTi5O15 (GGA-PBE)

Data for crystalline Ba2Sr2CaTi5O15 at its relaxed geometry.

- spin magnetization (μB/f.u.) = 0.00
- space group = Pm, No. 6
- uncorrected energy (eV per formula unit) = -200.3

Unit cell a=3.9709 b=8.8800 c=8.8877 alpha=89.98 beta=90.00 gamma=90.00
Last column: nearest neighbours and their distance in Å.
Fractional positions:
1 Ca 0.5000 0.8996 0.7001  12 O 2.72-2.79
2 O 0.0000 0.0920 0.7959  2 Ti 1.97-1.98
3 Sr 0.5000 0.5008 0.5006  12 O 2.75-2.84
4 Ti 0.0000 0.9946 0.9963  6 O 1.94-2.04
5 Ti 0.0000 0.4047 0.2019  6 O 1.96-2.03
6 O 0.0000 0.7026 0.6013  2 Ti 1.95
7 Ti 0.0000 0.7976 0.4033  6 O 1.95-2.02
8 O 0.5000 0.9913 0.9929  2 Ti 1.99
9 Sr 0.5000 0.7002 0.0998  12 O 2.75-2.84
10 O 0.0000 0.4031 0.6960  2 Ti 2.01
11 O 0.0000 0.8010 0.8956  2 Ti 1.94-1.95
12 O 0.0000 0.5077 0.0026  2 Ti 1.99-2.02
13 Ti 0.0000 0.6050 0.7977  6 O 1.95-2.02
14 O 0.0000 0.6003 0.3027  2 Ti 1.96-1.97
15 Ba 0.5000 0.0987 0.2999  12 O 2.82-2.89
16 Ba 0.5000 0.3008 0.8998  12 O 2.81-2.89
17 O 0.5000 0.7953 0.4052  2 Ti 1.99
18 O 0.0000 0.8930 0.1971  2 Ti 2.00-2.02
19 O 0.5000 0.4076 0.2038  2 Ti 1.99
20 O 0.0000 0.3044 0.4028  2 Ti 2.00
21 Ti 0.0000 0.1982 0.6007  6 O 1.97-2.01
22 O 0.0000 0.1999 0.0993  2 Ti 2.03-2.04
23 O 0.0000 0.9955 0.5066  2 Ti 1.98
24 O 0.5000 0.1968 0.6010  2 Ti 1.99
25 O 0.5000 0.6091 0.7968  2 Ti 1.99

***

[2]
## NbGeIr (GGA-PBE)

Data for crystalline NbGeIr at its relaxed geometry.

- space group = Pnma, No. 62
- uncorrected energy (eV per formula unit) = -25.2

Unit cell a=3.9285 b=6.5225 c=7.4771 alpha=90.00 beta=90.00 gamma=90.00
Last column: nearest neighbours and their distance in Å.
Fractional positions:
1 Ir 0.2500 0.3561 0.5614  4 Ge 2.47-2.55
2 Nb 0.7500 0.0263 0.6786  5 Ge 2.72-2.83, 5 Ir 2.96-3.04
3 Ge 0.7500 0.2594 0.3767  4 Ir 2.47-2.55, 3 Nb 2.72-2.74
4 Ir 0.7500 0.1439 0.0614  4 Ge 2.47-2.55
5 Nb 0.7500 0.5263 0.8214  5 Ge 2.72-2.83, 5 Ir 2.96-3.04
6 Nb 0.2500 0.9737 0.3214  5 Ge 2.72-2.83, 5 Ir 2.96-3.04
7 Ir 0.7500 0.6439 0.4386  4 Ge 2.47-2.55
8 Nb 0.2500 0.4737 0.1786  5 Ge 2.72-2.83, 5 Ir 2.96-3.04
9 Ge 0.2500 0.2406 0.8767  4 Ir 2.47-2.55, 3 Nb 2.72-2.74
10 Ge 0.2500 0.7406 0.6233  4 Ir 2.47-2.55, 3 Nb 2.72-2.74
11 Ge 0.7500 0.7594 0.1233  4 Ir 2.47-2.55, 3 Nb 2.72-2.74
12 Ir 0.2500 0.8561 0.9386  4 Ge 2.47-2.55

***

| no. | formation energy from the elements (meV/atom) |
| --- | --- |
| 1 | -3506 |
| 2 | -529 |